An optimized crystal structure of Sm2TeO6, computed with PBE.

energy	-128.1	eV/cell
E above lowest polymorph	99	meV per atom
energy with MP2020 corrections	-136.33	eV/cell

Lattice parameters (Å, degrees): 5.0893 5.0893 10.3209 90.00 90.00 90.00
Last column: nearest neighbours and their distance in Å.
Fractional coordinates of all 18 atoms:
Sm 0.5000 0.5000 0.3346  6 O 2.31-2.37
Sm 0.5000 0.5000 0.6654  6 O 2.31-2.37
Sm 0.0000 0.0000 0.1654  6 O 2.31-2.37
Sm 0.0000 0.0000 0.8346  6 O 2.31-2.37
Te 0.5000 0.5000 0.0000  6 O 1.96
Te 0.0000 0.0000 0.5000  6 O 1.96
O 0.6808 0.6808 0.1423  1 Te 1.96
O 0.6808 0.6808 0.8577  1 Te 1.96
O 0.7274 0.7274 0.5000  1 Te 1.96
O 0.7726 0.2274 0.0000  1 Te 1.96
O 0.8192 0.1808 0.3577  1 Te 1.96
O 0.8192 0.1808 0.6423  1 Te 1.96
O 0.1808 0.8192 0.3577  1 Te 1.96
O 0.1808 0.8192 0.6423  1 Te 1.96
O 0.2274 0.7726 0.0000  1 Te 1.96
O 0.2726 0.2726 0.5000  1 Te 1.96
O 0.3192 0.3192 0.1423  1 Te 1.96
O 0.3192 0.3192 0.8577  1 Te 1.96

An optimized crystal structure of Sm2TeO6, computed with PBE.

energy	-194.3	eV/cell
E above lowest polymorph	19	meV per atom
energy with MP2020 corrections	-206.65	eV/cell

Lattice parameters (Å, degrees): 9.2847 9.2847 5.3695 90.00 90.00 120.00
Last column: nearest neighbours and their distance in Å.
Fractional coordinates of all 27 atoms:
Sm 0.0000 0.6139 0.5000  6 O 2.31-2.45
Sm 0.0000 0.2764 0.0000  6 O 2.28-2.42
Sm 0.3861 0.3861 0.5000  6 O 2.31-2.45
Sm 0.2764 0.0000 0.0000  6 O 2.28-2.42
Sm 0.7236 0.7236 0.0000  6 O 2.28-2.42
Sm 0.6139 0.0000 0.5000  6 O 2.31-2.45
Te 0.3333 0.6667 0.9989  6 O 1.95-1.96
Te 0.0000 0.0000 0.5000  6 O 1.94
Te 0.6667 0.3333 0.0011  6 O 1.95-1.96
O 0.0719 0.8761 0.2920  1 Te 1.94
O 0.2270 0.7594 0.7887  1 Te 1.96
O 0.1369 0.5430 0.2088  1 Te 1.95
O 0.4061 0.8631 0.2088  1 Te 1.95
O 0.2406 0.4676 0.7887  1 Te 1.96
O 0.1239 0.1958 0.2920  1 Te 1.94
O 0.1958 0.1239 0.7080  1 Te 1.94
O 0.5324 0.7730 0.7887  1 Te 1.96
O 0.4570 0.5939 0.2088  1 Te 1.95
O 0.8042 0.9281 0.2920  1 Te 1.94
O 0.4676 0.2406 0.2113  1 Te 1.96
O 0.5939 0.4570 0.7912  1 Te 1.95
O 0.5430 0.1369 0.7912  1 Te 1.95
O 0.7730 0.5324 0.2113  1 Te 1.96
O 0.9281 0.8042 0.7080  1 Te 1.94
O 0.7594 0.2270 0.2113  1 Te 1.96
O 0.8631 0.4061 0.7912  1 Te 1.95
O 0.8761 0.0719 0.7080  1 Te 1.94

Quick rundown of calculated formation energy, same order as above: -2.8776; -2.9572 eV per atom